Entry 1:
LuFe10Si2 after structural relaxation. Source: the Materials Project, functional PBE.

The calculation puts the uncorrected energy at -7.9577 eV/atom. The MP2020-corrected energy is -206.62 eV/cell. For the formation energy from the elements, the calculation gives -0.249 eV per atom. As for the energy above the most stable polymorph in this dataset: 0.000 eV per atom.

The space group is Immm (No. 71) and the conventional cell measures 4.749, 8.241 and 8.306 Å, with angles of 90.00, 90.00 and 90.00 degrees. Symmetry generates all atoms from Lu at (0.000, 0.000, 0.000), Fe at (0.000, 0.000, 0.360), Fe at (0.000, 0.293, 0.500), Fe at (0.000, 0.354, 0.000), Fe at (0.250, 0.250, 0.250) and Si at (0.000, 0.500, 0.268).



Entry 2:
Nd3Th after structural relaxation. Source: the Materials Project, functional PBE.

The calculation puts the uncorrected energy at -5.3523 eV/atom. For the formation energy from the elements, the calculation gives 0.077 eV per atom. Its total magnetization is 0.0 μB/cell.

The space group is I4/mmm (No. 139) and the conventional cell measures 5.154, 5.154 and 10.372 Å, with angles of 90.00, 90.00 and 90.00 degrees. Symmetry generates all atoms from Nd at (0.000, 0.000, 0.000), Nd at (0.000, 0.500, 0.250) and Th at (0.000, 0.000, 0.500).



Entry 3:
AlGaCu2Se2S2 after structural relaxation. Source: the Materials Project, functional PBE.

The calculation puts the uncorrected energy at -4.3914 eV/atom. The MP2020-corrected energy is -72.27 eV/cell. For the formation energy from the elements, the calculation gives -0.738 eV per atom. Its total magnetization is 0.0 μB/cell.

The space group is C2 (No. 5) and the conventional cell measures 7.779, 10.920 and 5.498 Å, with angles of 90.00, 134.91 and 90.00 degrees. Symmetry generates all atoms from Al at (0.000, 0.000, 0.000), Ga at (0.000, 0.739, 0.500), Cu at (0.000, 0.230, 0.500), Cu at (0.000, 0.504, 0.000), Se at (0.245, 0.369, 0.498) and S at (0.248, 0.117, 0.003).



Question: What is the formula in the second record?
Answer: Nd3Th



Question: uncorrected energy of number 1 (LuFe10Si2)?
Answer: -7.9577 eV/atom



Question: What is the formula in the second record?
Answer: Nd3Th